Record 1
Compound: TiP2S6
Source: the Materials Project database
Functional: PBE
Structure: relaxed

Results
Calculated formation energy, eV/atom: -0.9023
Total energy, eV/atom: -5.4049
Total magnetic moment, μB/cell: 0.0

The structure in POSCAR format:
```
TiP2S6
1.0
7.054 0.000 0.000
-2.330 6.658 0.000
-2.362 -3.329 10.640
Ti P S
2 4 12
direct
0.000 0.000 0.000
0.254 0.746 0.505
0.003 0.879 0.677
0.044 0.411 0.174
0.126 0.753 0.173
0.677 0.801 0.676
0.068 0.990 0.533
0.070 0.620 0.653
0.164 0.111 0.842
0.243 0.816 0.032
0.281 0.323 0.154
0.357 0.908 0.341
0.460 0.537 0.529
0.573 0.034 0.651
0.688 0.731 0.848
0.796 0.210 0.034
0.876 0.827 0.157
0.983 0.439 0.342
```

***

Record 2
Compound: Rb2MnS2
Source: the Materials Project database
Functional: PBE
Structure: relaxed

Results
Calculated formation energy, eV/atom: -1.1985
Total energy, eV/atom: -4.8765

The structure in POSCAR format:
```
Rb2MnS2
1.0
-3.577 6.652 3.212
3.577 -6.652 3.212
3.577 6.652 -3.212
Rb Mn S
4 2 4
direct
0.148 0.161 0.309
0.352 0.661 0.014
0.648 0.339 0.986
0.852 0.839 0.691
0.250 0.750 0.500
0.750 0.250 0.500
0.099 0.683 0.781
0.401 0.183 0.584
0.599 0.817 0.416
0.901 0.317 0.219
```

***

Record 3
Compound: U3O10
Source: the Materials Project database
Functional: PBE
Structure: relaxed

Results
Calculated formation energy, eV/atom: -3.1560
Total energy, eV/atom: -9.0393
Total magnetic moment, μB/cell: 0.3

The structure in POSCAR format:
```
U3O10
1.0
5.596 0.000 0.000
1.704 5.602 0.000
2.380 1.290 6.770
U O
3 10
direct
0.000 0.000 0.000
0.446 0.560 0.268
0.554 0.440 0.732
0.090 0.926 0.239
0.211 0.369 0.349
0.301 0.690 0.956
0.313 0.235 0.852
0.327 0.681 0.543
0.673 0.319 0.457
0.687 0.765 0.148
0.699 0.310 0.044
0.789 0.631 0.651
0.910 0.074 0.761
```

***

Record 4
Compound: TbAl8Ni3
Source: the Materials Project database
Functional: PBE
Structure: relaxed

Results
Calculated formation energy, eV/atom: -0.3022
Total energy, eV/atom: -4.6304
Total magnetic moment, μB/cell: 0.0

The structure in POSCAR format:
```
TbAl8Ni3
1.0
6.698 0.000 0.000
0.000 1.969 7.452
0.000 -1.969 7.452
Tb Al Ni
1 8 3
direct
0.000 0.000 0.000
0.000 0.198 0.198
0.210 0.805 0.805
0.271 0.630 0.630
0.308 0.434 0.434
0.500 0.058 0.058
0.692 0.434 0.434
0.729 0.630 0.630
0.790 0.805 0.805
0.000 0.354 0.354
0.500 0.246 0.246
0.500 0.897 0.897
```

***

Record 5
Compound: SnP3O9
Source: the Materials Project database
Functional: PBE
Structure: relaxed

Results
Calculated formation energy, eV/atom: -2.4244
Total energy, eV/atom: -6.9320
Total magnetic moment, μB/cell: 0.0

The structure in POSCAR format:
```
SnP3O9
1.0
6.725 0.000 0.000
-3.363 5.824 0.000
0.000 0.000 10.295
Sn P O
2 6 18
direct
0.000 0.000 0.000
0.000 0.000 0.500
0.392 0.099 0.250
0.392 0.294 0.750
0.706 0.099 0.750
0.706 0.608 0.250
0.901 0.294 0.250
0.901 0.608 0.750
0.009 0.277 0.125
0.009 0.277 0.375
0.009 0.733 0.625
0.009 0.733 0.875
0.267 0.277 0.625
0.267 0.277 0.875
0.267 0.991 0.125
0.267 0.991 0.375
0.469 0.101 0.750
0.469 0.367 0.250
0.633 0.101 0.250
0.633 0.531 0.750
0.723 0.733 0.125
0.723 0.733 0.375
0.723 0.991 0.625
0.723 0.991 0.875
0.899 0.367 0.750
0.899 0.531 0.250
```

***

Record 6
Compound: Nd4Ti9O24
Source: the Materials Project database
Functional: PBE
Structure: relaxed

Results
Calculated formation energy, eV/atom: -3.6290
Total energy, eV/atom: -8.8289
Total magnetic moment, μB/cell: 0.1

The structure in POSCAR format:
```
Nd4Ti9O24
1.0
0.000 7.311 17.810
7.069 0.000 17.810
7.069 7.311 0.000
Nd Ti O
16 36 96
direct
0.004 0.004 0.746
0.068 0.674 0.384
0.232 0.232 0.518
0.254 0.254 0.996
0.326 0.932 0.627
0.373 0.384 0.674
0.384 0.373 0.068
0.482 0.482 0.768
0.518 0.518 0.232
0.616 0.627 0.932
0.627 0.616 0.326
0.674 0.068 0.373
0.746 0.746 0.004
0.768 0.768 0.482
0.932 0.326 0.616
0.996 0.996 0.254
0.053 0.538 0.696
0.061 0.098 0.926
0.071 0.504 0.240
0.074 0.584 0.939
0.098 0.061 0.416
0.145 0.186 0.853
0.147 0.684 0.855
0.186 0.145 0.316
0.214 0.696 0.538
0.240 0.684 0.071
0.304 0.786 0.947
0.316 0.760 0.496
0.316 0.853 0.186
0.330 0.330 0.420
0.416 0.926 0.098
0.420 0.420 0.330
0.462 0.947 0.786
0.496 0.929 0.316
0.504 0.071 0.684
0.538 0.053 0.214
0.580 0.580 0.670
0.584 0.074 0.902
0.670 0.670 0.580
0.684 0.147 0.814
0.684 0.240 0.504
0.696 0.214 0.053
0.760 0.316 0.929
0.786 0.304 0.462
0.814 0.855 0.684
0.853 0.316 0.145
0.855 0.814 0.147
0.902 0.939 0.584
0.926 0.416 0.061
0.929 0.496 0.760
0.939 0.902 0.074
0.947 0.462 0.304
0.001 0.749 0.001
0.029 0.330 0.706
0.038 0.299 0.209
0.044 0.861 0.446
0.046 0.791 0.701
0.077 0.828 0.922
0.078 0.328 0.923
0.084 0.298 0.417
0.087 0.423 0.648
0.093 0.759 0.188
0.101 0.393 0.183
0.106 0.140 0.474
0.139 0.956 0.851
0.140 0.106 0.780
0.149 0.446 0.861
0.172 0.923 0.328
0.176 0.817 0.607
0.183 0.824 0.101
0.188 0.460 0.093
0.196 0.389 0.370
0.196 0.473 0.563
0.209 0.954 0.038
0.220 0.526 0.860
0.241 0.907 0.540
0.251 0.999 0.251
0.268 0.563 0.473
0.287 0.463 0.287
0.294 0.565 0.971
0.298 0.084 0.700
0.299 0.038 0.954
0.300 0.583 0.702
0.328 0.078 0.172
0.330 0.029 0.435
0.342 0.648 0.423
0.352 0.658 0.913
0.370 0.546 0.196
0.389 0.196 0.546
0.393 0.101 0.824
0.417 0.700 0.084
0.423 0.087 0.342
0.435 0.706 0.330
0.437 0.732 0.804
0.446 0.149 0.044
0.454 0.630 0.611
0.460 0.188 0.759
0.463 0.287 0.463
0.473 0.196 0.268
0.474 0.780 0.106
0.526 0.220 0.894
0.527 0.804 0.732
0.537 0.713 0.537
0.540 0.812 0.241
0.546 0.370 0.389
0.554 0.851 0.956
0.563 0.268 0.196
0.565 0.294 0.670
0.577 0.913 0.658
0.583 0.300 0.916
0.607 0.899 0.176
0.611 0.804 0.454
0.630 0.454 0.804
0.648 0.342 0.087
0.658 0.352 0.577
0.670 0.971 0.565
0.672 0.922 0.828
0.700 0.417 0.298
0.701 0.962 0.046
0.702 0.916 0.300
0.706 0.435 0.029
0.713 0.537 0.713
0.732 0.437 0.527
0.749 0.001 0.749
0.759 0.093 0.460
0.780 0.474 0.140
0.791 0.046 0.962
0.804 0.527 0.437
0.804 0.611 0.630
0.812 0.540 0.907
0.817 0.176 0.899
0.824 0.183 0.393
0.828 0.077 0.672
0.851 0.554 0.139
0.860 0.894 0.220
0.861 0.044 0.149
0.894 0.860 0.526
0.899 0.607 0.817
0.907 0.241 0.812
0.913 0.577 0.352
0.916 0.702 0.583
0.922 0.672 0.077
0.923 0.172 0.078
0.954 0.209 0.299
0.956 0.139 0.554
0.962 0.701 0.791
0.971 0.670 0.294
0.999 0.251 0.999
```